1.
DFT (r²SCAN) results for Cs3Nb2I9 after structural relaxation.

The space group is P-3m1 (No. 164) and the conventional cell measures 8.4257, 8.4257 and 19.7792 Å, with angles of 90.00, 90.00 and 120.00 degrees. The asymmetric unit holds Cs at (0.0000, 0.0000, 0.2501), Cs at (0.3333, 0.6667, 0.0682), Cs at (0.3333, 0.6667, 0.4316), Nb at (0.3333, 0.6667, 0.6794), Nb at (0.3333, 0.6667, 0.8204), I at (0.0109, 0.5055, 0.2500), I at (0.1738, 0.3477, 0.5943) and I at (0.1740, 0.3479, 0.9056).

For the formation energy, the calculation gives -1.140 eV/atom.



2.
DFT (r²SCAN) results for ZrBrN after structural relaxation.

The space group is Pmmn (No. 59, origin choice 2) and the conventional cell measures 3.620, 4.119 and 9.022 Å, with angles of 90.00, 90.00 and 90.00 degrees. The asymmetric unit holds Zr at (0.250, 0.250, 0.098), Br at (0.250, 0.750, 0.670) and N at (0.250, 0.750, 0.031).

For the formation energy, the calculation gives -1.915 eV/atom.



3.
DFT (r²SCAN) results for CaMgGe after structural relaxation.

The space group is Pnma (No. 62) and the conventional cell measures 7.509, 4.439 and 8.332 Å, with angles of 90.00, 90.00 and 90.00 degrees. The asymmetric unit holds Ca at (0.020, 0.250, 0.180), Mg at (0.142, 0.250, 0.563) and Ge at (0.230, 0.750, 0.385).

For the formation energy, the calculation gives -0.650 eV/atom.